Below is crystalline Na8Ti2In2Si5SO24 at its relaxed geometry, with properties calculated at the PBE level.

extended XYZ file:
```
126
Lattice="-1.699 -2.006 8.790 8.514 -0.758 -3.320 4.074 21.152 5.842" Properties=species:S:1:pos:R:3 pbc="T T T"
Na -0.014 4.022 7.116
Na 3.494 4.284 3.374
Na 4.767 2.798 8.123
Na 7.351 14.061 7.833
Na 4.421 13.570 11.895
Na 2.517 15.087 7.598
Na 4.740 11.565 4.918
Na 8.320 11.707 1.424
Na 9.390 10.270 6.079
Na 8.054 0.423 -0.210
Na 5.130 -0.012 4.116
Na 3.141 1.508 -0.201
Na 7.783 16.919 11.686
Na 2.875 17.746 11.371
Na 5.612 18.559 7.241
Na 2.553 6.550 9.839
Na 1.344 8.126 5.241
Na 6.263 6.903 6.439
Na 8.782 7.878 8.358
Na 0.037 -0.047 0.150
Na 5.024 15.954 9.624
Na 3.028 5.452 6.759
Na 5.718 2.416 1.668
Na 7.818 12.885 4.633
Ti 0.954 11.730 12.580
Ti 4.503 12.878 8.740
Ti 2.626 2.370 5.801
Ti 3.637 8.660 7.713
Ti 6.535 5.443 2.452
Ti 8.469 15.968 5.263
In 8.182 4.568 7.456
In 3.487 17.851 4.991
In 0.621 3.263 0.968
In 5.693 19.142 10.486
In 5.107 -0.729 0.710
In 7.311 9.837 3.755
Si 0.552 4.677 4.127
Si 5.808 3.375 5.230
Si 1.919 3.053 9.238
Si 5.091 15.005 6.007
Si 7.366 13.320 10.762
Si 10.367 13.689 7.239
Si 3.548 10.220 10.741
Si 2.173 11.567 6.562
Si 6.532 10.520 7.252
Si 4.065 -0.634 6.813
Si 2.538 0.749 2.669
Si 6.804 18.991 4.464
Si 11.325 17.993 5.102
Si 8.835 6.846 4.764
Si 7.305 8.275 0.551
S -0.450 0.409 6.227
S 8.363 17.600 8.593
S 4.320 7.853 4.146
O 1.334 6.023 3.662
O 6.382 4.291 6.434
O 1.198 4.473 9.585
O 4.474 16.493 6.202
O 8.256 14.651 10.514
O 2.268 15.457 11.760
O 9.700 12.309 7.910
O 4.232 14.177 4.839
O 9.892 13.960 1.542
O 6.486 1.899 5.127
O 2.656 3.778 0.757
O 8.540 2.989 -0.411
O 4.182 11.589 10.134
O 3.031 12.462 7.637
O 5.800 11.886 7.789
O 3.408 0.882 6.627
O 0.533 1.494 6.083
O 2.688 1.705 4.028
O 1.846 -0.671 3.076
O 3.318 -1.672 5.804
O 0.083 -0.907 5.788
O 2.769 10.014 6.667
O 5.428 9.281 7.447
O 3.282 9.204 9.420
O 8.891 18.942 8.210
O 7.435 20.023 5.558
O 10.737 19.422 5.630
O 8.207 8.340 4.874
O 5.214 9.031 4.006
O 7.628 9.301 1.766
O 6.692 6.855 1.184
O 7.937 5.974 3.654
O 4.955 6.614 3.639
O 7.487 17.469 4.653
O 10.155 16.795 5.265
O 8.193 16.706 7.435
O 8.753 8.066 -0.190
O 8.747 6.317 6.312
O 3.093 8.214 3.367
O 5.215 19.118 4.823
O 11.711 18.265 3.534
O 9.344 17.090 9.589
O 2.073 10.408 11.429
O 2.379 12.053 5.001
O 7.855 10.147 8.166
O 5.635 -0.718 6.349
O -0.849 0.187 7.652
O 1.497 1.357 1.561
O 3.257 14.185 9.744
O 4.952 14.411 7.535
O 5.975 13.612 9.959
O 4.184 3.371 5.614
O 2.342 3.186 7.645
O 1.541 3.958 5.212
O 7.013 17.705 9.232
O 5.386 17.350 11.674
O 4.087 18.207 9.313
O 1.895 7.530 7.545
O 3.957 7.600 5.568
O 4.444 6.832 8.287
O 4.079 0.636 2.079
O 5.588 1.075 -0.366
O 6.863 0.044 2.116
O 9.136 11.002 3.715
O 6.926 10.822 5.694
O 6.327 11.641 3.014
O 7.624 4.206 1.598
O 5.930 4.010 3.725
O 4.967 4.775 1.363
O 6.675 14.967 5.547
O 8.683 15.087 3.591
O 9.224 14.308 6.211
```

Output
Energy of formation from the pure elements = -2.695 eV per atom
Uncorrected energy = -6.633 eV per atom
Symmetry = P1, No. 1
Mass density = 3.27 g cm⁻³



Below is crystalline Na3Ti3InSi3S3O24 at its relaxed geometry, with properties calculated at the PBE level.

extended XYZ file:
```
111
Lattice="-4.428 7.583 0.898 -1.412 -6.692 5.666 16.350 7.798 13.414" Properties=species:S:1:pos:R:3 pbc="T T T"
Na 1.900 2.205 5.613
Na 8.620 6.481 14.227
Na 2.083 8.637 8.078
Na 2.366 4.765 13.268
Na 10.529 8.715 19.925
Na 10.213 9.340 13.657
Na 1.966 5.497 6.894
Na 0.353 -0.796 6.240
Na 8.602 3.106 12.909
Ti 12.545 0.098 17.050
Ti 10.492 5.044 8.809
Ti 2.217 1.096 2.013
Ti 12.593 10.271 15.817
Ti 4.456 6.652 8.775
Ti -2.081 -1.688 4.336
Ti 6.078 2.215 10.944
Ti 2.720 0.628 8.262
Ti 10.936 4.422 14.854
In 1.393 10.296 5.672
In 7.757 8.229 11.742
In -0.605 4.292 4.976
Si -0.723 7.534 5.940
Si 10.643 6.136 11.970
Si 11.179 1.107 14.137
Si 4.800 9.611 10.564
Si -3.858 3.715 5.593
Si -0.771 1.263 3.394
Si 11.253 7.347 16.659
Si 2.790 1.576 11.518
Si 4.762 3.361 8.053
S 1.392 -2.512 9.218
S -0.039 2.550 8.023
S 7.730 4.612 16.373
S 7.826 7.115 8.353
S 5.675 5.394 11.973
S -1.689 5.414 1.896
S 14.281 4.958 14.468
S 12.128 3.316 18.009
S 5.685 -0.823 9.399
O 4.005 3.838 4.361
O 0.318 3.282 9.256
O 0.521 8.535 6.224
O 12.203 6.574 11.970
O 7.728 8.283 16.323
O 9.525 12.388 11.635
O 6.510 4.961 15.579
O 10.297 5.317 10.570
O 9.987 -0.030 14.070
O -1.437 2.121 7.973
O 2.799 0.474 3.717
O 1.033 -3.629 8.288
O 6.030 9.239 11.519
O 8.160 7.816 9.605
O 6.907 6.216 12.153
O -2.492 4.548 5.663
O -0.705 5.141 2.967
O -0.229 2.309 4.491
O -2.087 1.776 2.551
O -4.021 2.945 4.112
O -2.813 4.469 1.867
O 6.409 6.611 8.375
O 4.912 5.782 10.773
O 4.431 8.362 9.508
O 12.610 6.882 17.424
O 14.527 5.614 15.772
O 13.285 4.222 18.105
O 4.357 1.975 11.557
O 5.679 2.837 9.313
O 6.081 0.231 10.347
O 4.489 -0.440 8.585
O 2.469 0.810 10.093
O 3.522 2.242 7.925
O 12.867 4.422 14.435
O 11.310 3.600 16.807
O 10.862 6.154 15.582
O 5.468 -2.046 10.183
O 1.902 2.878 11.861
O 5.791 3.300 6.815
O 14.489 5.963 13.411
O 12.726 1.921 17.915
O 10.045 7.632 17.731
O 5.095 10.972 9.655
O 8.672 5.893 8.174
O 4.796 5.465 13.161
O -3.983 2.590 6.787
O -2.248 6.801 2.033
O 0.410 0.972 2.274
O 8.980 10.086 11.508
O 9.652 7.380 12.237
O 7.821 8.600 13.825
O 0.354 3.461 6.912
O -0.055 6.073 5.841
O 1.725 4.383 4.554
O 11.554 8.725 15.763
O 10.737 11.370 15.167
O 12.671 10.073 13.542
O 3.907 7.164 7.086
O 4.127 4.825 8.322
O 2.337 6.551 9.281
O -1.073 -0.157 4.150
O -0.610 -2.742 4.806
O -2.294 -1.308 6.310
O 6.645 1.350 12.902
O 6.212 3.992 11.863
O 7.950 2.274 10.673
O 1.614 -1.305 8.403
O 0.821 1.310 7.866
O 2.676 0.113 6.366
O 10.380 5.017 13.181
O 10.589 2.613 14.353
O 8.794 4.406 15.338
```

Output
Energy of formation from the pure elements = -2.640 eV per atom
Uncorrected energy = -7.001 eV per atom
Symmetry = P1, No. 1
Mass density = 2.91 g cm⁻³



Below is crystalline Na3TiInSi2SO12 at its relaxed geometry, with properties calculated at the PBE level.

extended XYZ file:
```
120
Lattice="9.134 -0.011 -0.092 -4.576 7.905 0.092 -0.237 0.137 22.368" Properties=species:S:1:pos:R:3 pbc="T T T"
Na 5.699 0.055 5.390
Na 6.138 5.053 5.524
Na 7.241 2.999 16.574
Na 3.133 0.121 16.708
Na 1.050 2.739 12.907
Na 1.489 7.736 13.041
Na 2.829 5.547 1.723
Na -1.280 2.668 1.857
Na 5.535 5.413 20.333
Na 1.416 2.516 20.467
Na 2.756 0.326 9.148
Na 3.205 5.341 9.283
Na -0.199 0.224 11.122
Na 4.146 8.023 22.306
Na 4.286 2.898 18.547
Na 4.309 2.665 7.363
Na -0.126 5.445 3.696
Na -0.339 5.349 14.880
Ti 0.063 0.191 14.456
Ti 4.542 7.676 3.272
Ti 4.548 2.864 21.881
Ti 4.469 2.456 10.697
Ti 0.135 5.411 7.030
Ti -0.179 5.139 18.215
In -0.069 0.119 7.836
In 4.302 7.963 19.021
In 4.416 2.792 15.262
In 4.465 2.606 4.078
In 0.004 5.340 0.411
In -0.183 5.289 11.595
Si -1.953 7.899 5.712
Si 3.179 5.580 5.628
Si 1.196 2.419 16.812
Si -3.378 5.704 16.896
Si 7.108 2.668 13.046
Si 3.106 0.359 13.053
Si 5.918 4.956 1.869
Si 5.920 0.336 1.862
Si 2.459 5.352 20.563
Si -1.543 3.043 20.570
Si 1.269 7.640 9.386
Si 1.271 3.020 9.379
S -1.358 2.408 5.571
S 1.675 7.934 16.755
S 3.127 5.082 12.996
S 1.839 2.577 1.812
S -1.521 7.766 20.514
S -2.810 5.261 9.329
O 1.828 0.218 7.002
O 3.802 6.240 6.954
O 7.956 1.571 6.689
O 0.936 1.550 18.138
O 5.165 6.270 18.186
O 7.057 0.287 17.873
O 2.506 7.787 15.545
O 0.481 1.682 15.469
O -3.771 6.780 15.647
O 3.460 6.568 4.285
O -0.815 1.762 4.361
O -3.081 7.702 4.462
O 6.313 2.891 14.428
O 3.729 1.019 14.379
O 3.307 4.255 14.206
O 5.658 4.087 3.195
O 5.328 0.913 3.243
O 2.645 2.834 3.022
O 2.670 2.430 0.602
O 5.203 4.219 0.526
O 5.526 1.412 0.612
O 3.387 1.348 11.711
O 3.670 4.435 11.786
O 5.980 2.471 11.796
O 1.664 5.575 21.945
O -0.919 3.703 21.897
O -1.342 6.939 21.723
O 1.009 6.770 10.712
O 0.680 3.597 10.761
O -2.004 5.518 10.539
O -1.979 5.114 8.120
O 0.554 6.902 8.044
O 0.877 4.096 8.129
O -1.261 4.031 19.228
O -0.978 7.119 19.304
O 1.331 5.155 19.314
O -3.703 6.462 9.286
O 2.874 7.758 9.229
O 0.759 1.481 9.247
O -0.843 1.595 20.413
O -3.008 7.938 20.470
O 3.537 6.565 20.431
O 7.980 1.225 13.110
O 1.433 0.345 13.169
O 3.733 6.442 13.140
O 5.093 6.412 1.984
O 7.606 0.302 1.926
O 0.963 1.372 1.956
O 5.358 1.231 16.619
O 2.801 2.537 16.654
O 5.244 4.154 16.672
O 3.879 4.132 5.470
O 6.289 2.570 5.435
O 3.700 1.208 5.488
O 3.332 3.909 20.627
O 5.918 3.019 20.594
O 3.661 1.222 20.566
O 5.021 1.191 9.410
O 2.957 2.986 9.443
O 5.448 4.045 9.382
O 0.946 3.778 1.768
O -1.611 5.085 1.803
O 0.832 6.701 1.821
O -0.770 6.816 12.987
O 1.640 5.254 12.953
O -0.948 3.892 13.006
O -1.081 6.456 5.776
O 1.506 5.566 5.743
O -0.752 3.769 5.715
O 0.372 3.875 16.927
O -1.692 5.670 16.960
O 0.800 6.729 16.899
```

Output
Energy of formation from the pure elements = -2.606 eV per atom
Uncorrected energy = -6.642 eV per atom
Mass density = 3.16 g cm⁻³